1.
The following is a DFT calculation (PBE) of a relaxed structure of HfP.

Unit cell a=3.6655 b=3.6655 c=12.4334 alpha=90.00 beta=90.00 gamma=120.00
Closest atoms and distances in Å follow each position.
Sites, in units of the cell vectors:
Hf  0.3333  0.6667  0.3840  6 P 2.56-2.69
Hf  0.6667  0.3333  0.8840  6 P 2.56-2.69
Hf  0.6667  0.3333  0.6160  6 P 2.56-2.69
Hf  0.3333  0.6667  0.1160  6 P 2.56-2.69
P  0.6667  0.3333  0.2500  6 Hf 2.69
P  0.3333  0.6667  0.7500  6 Hf 2.69
P  0.0000  0.0000  0.5000  6 Hf 2.56
P  0.0000  0.0000  0.0000  6 Hf 2.56

Summary:
Its final energy is -8.98 eV/atom. As for the volume: 145 Å³ per cell.

=====

2.
The following is a DFT calculation (PBE) of a relaxed structure of NbFe3.

Unit cell a=3.5720 b=3.5720 c=4.8530 alpha=111.59 beta=111.59 gamma=90.00
Closest atoms and distances in Å follow each position.
Sites, in units of the cell vectors:
Nb  0.0000  0.0000  0.0000  12 Fe 2.53-2.74
Fe  0.5000  0.5000  0.0000  4 Nb 2.53, 8 Fe 2.74
Fe  0.2500  0.7500  0.5000  8 Fe 2.53-2.74, 4 Nb 2.74
Fe  0.7500  0.2500  0.5000  8 Fe 2.53-2.74, 4 Nb 2.74

Summary:
Its final energy is -8.85 eV/atom. As for the volume: 53 Å³ per cell.

=====

3.
The following is a DFT calculation (PBE) of a relaxed structure of LiCuP2O6.

Unit cell a=4.9786 b=7.8058 c=8.9302 alpha=65.44 beta=89.63 gamma=89.27
Closest atoms and distances in Å follow each position.
Sites, in units of the cell vectors:
Li  0.6421  0.8633  0.3072  3 O 1.85-1.88
Li  0.1418  0.0949  0.7205  3 O 1.83-1.90
Cu  0.1364  0.0578  0.3725  4 O 2.04-2.11
Cu  0.6471  0.0892  0.9087  4 O 2.05-2.12
P  0.1834  0.5045  0.0914  4 O 1.47-1.62
P  0.1397  0.8980  0.1049  4 O 1.52-1.70
P  0.6309  0.9426  0.6172  3 O 1.52
P  0.6817  0.5207  0.8751  4 O 1.48-1.63
O  0.4678  0.4580  0.0258  2 P 1.62
O  0.0997  0.3422  0.2419  1 P 1.47
O  0.2428  0.6889  0.1076  2 P 1.54-1.70
O  0.8345  0.8896  0.1178  1 P 1.52
O  0.3439  0.0163  0.5844  1 P 1.52
O  0.2788  0.8952  0.2568  1 P 1.52
O  0.7927  0.0271  0.7128  1 P 1.52
O  0.7718  0.9241  0.4737  1 P 1.52
O  0.7079  0.3741  0.8117  1 P 1.48
O  0.2419  0.0425  0.9398  1 P 1.53
O  0.5789  0.7143  0.7542  2 P 1.53-1.71
O  0.9675  0.5575  0.9435  2 P 1.62-1.63

Summary:
The value obtained for the energy above the most stable polymorph in this dataset is 67 meV/atom. As for the volume: 316 Å³ per cell.

=====

4.
The following is a DFT calculation (PBE) of a relaxed structure of Cs2NaYCl6.

Unit cell a=7.7171 b=7.7171 c=7.7171 alpha=60.00 beta=60.00 gamma=60.00
Closest atoms and distances in Å follow each position.
Sites, in units of the cell vectors:
Cs  0.7500  0.7500  0.7500  12 Cl 3.86
Cs  0.2500  0.2500  0.2500  12 Cl 3.86
Na  0.5000  0.5000  0.5000  6 Cl 2.81
Y  0.0000  0.0000  0.0000  6 Cl 2.65
Cl  0.7575  0.2425  0.2425  1 Y 2.65, 1 Na 2.81
Cl  0.2425  0.2425  0.7575  1 Y 2.65, 1 Na 2.81
Cl  0.2425  0.7575  0.7575  1 Y 2.65, 1 Na 2.81
Cl  0.2425  0.7575  0.2425  1 Y 2.65, 1 Na 2.81
Cl  0.7575  0.2425  0.7575  1 Y 2.65, 1 Na 2.81
Cl  0.7575  0.7575  0.2425  1 Y 2.65, 1 Na 2.81

Summary:
Its final energy is -4.20 eV/atom. As for the volume: 325 Å³ per cell.

=====

5.
The following is a DFT calculation (PBE) of a relaxed structure of Rb2UO3F4.

Unit cell a=10.6959 b=12.7424 c=13.3364 alpha=90.00 beta=90.00 gamma=90.00
Closest atoms and distances in Å follow each position.
Sites, in units of the cell vectors:
Rb  0.4638  0.1277  0.0711  2 O 2.83-2.91, 4 F 2.84-3.12
Rb  0.9638  0.8723  0.4289  2 O 2.83-2.91, 4 F 2.84-3.12
Rb  0.5362  0.3723  0.5711  2 O 2.83-2.91, 4 F 2.84-3.12
Rb  0.0362  0.6277  0.9289  2 O 2.83-2.91, 4 F 2.84-3.12
Rb  0.5362  0.8723  0.9289  2 O 2.83-2.91, 4 F 2.84-3.12
Rb  0.0362  0.1277  0.5711  2 O 2.83-2.91, 4 F 2.84-3.12
Rb  0.4638  0.6277  0.4289  2 O 2.83-2.91, 4 F 2.84-3.12
Rb  0.9638  0.3723  0.0711  2 O 2.83-2.91, 4 F 2.84-3.12
Rb  0.7213  0.2965  0.8177  2 F 2.74-2.90, 3 O 2.91-2.95
Rb  0.2213  0.7035  0.6823  2 F 2.74-2.90, 3 O 2.91-2.95
Rb  0.2787  0.2035  0.3177  2 F 2.74-2.90, 3 O 2.91-2.95
Rb  0.7787  0.7965  0.1823  2 F 2.74-2.90, 3 O 2.91-2.95
Rb  0.2787  0.7035  0.1823  2 F 2.74-2.90, 3 O 2.91-2.95
Rb  0.7787  0.2965  0.3177  2 F 2.74-2.90, 3 O 2.91-2.95
Rb  0.7213  0.7965  0.6823  2 F 2.74-2.90, 3 O 2.91-2.95
Rb  0.2213  0.2035  0.8177  2 F 2.74-2.90, 3 O 2.91-2.95
U  0.6798  0.5608  0.0047  2 O 1.91
U  0.1798  0.4392  0.4953  2 O 1.91
U  0.3202  0.9392  0.5047  2 O 1.91
U  0.8202  0.0608  0.9953  2 O 1.91
U  0.3202  0.4392  0.9953  2 O 1.91
U  0.8202  0.5608  0.5047  2 O 1.91
U  0.6798  0.0608  0.4953  2 O 1.91
U  0.1798  0.9392  0.0047  2 O 1.91
O  0.2952  0.3570  0.1524  1 F 1.49
O  0.7952  0.6430  0.3476  1 F 1.49
O  0.7048  0.1430  0.6524  1 F 1.49
O  0.2048  0.8570  0.8476  1 F 1.49
O  0.7048  0.6430  0.8476  1 F 1.49
O  0.2048  0.3570  0.6524  1 F 1.49
O  0.2952  0.8570  0.3476  1 F 1.49
O  0.7952  0.1430  0.1524  1 F 1.49
O  0.8314  0.6106  0.0627  1 U 1.91
O  0.3314  0.3894  0.4373  1 U 1.91
O  0.1686  0.8894  0.5627  1 U 1.91
O  0.6686  0.1106  0.9373  1 U 1.91
O  0.1686  0.3894  0.9373  1 U 1.91
O  0.6686  0.6106  0.5627  1 U 1.91
O  0.8314  0.1106  0.4373  1 U 1.91
O  0.3314  0.8894  0.0627  1 U 1.91
O  0.6039  0.1887  0.4531  1 U 1.91
O  0.1039  0.8113  0.0469  1 U 1.91
O  0.3961  0.3113  0.9531  1 U 1.91
O  0.8961  0.6887  0.5469  1 U 1.91
O  0.3961  0.8113  0.5469  1 U 1.91
O  0.8961  0.1887  0.9531  1 U 1.91
O  0.6039  0.6887  0.0469  1 U 1.91
O  0.1039  0.3113  0.4531  1 U 1.91
F  0.6835  0.4665  0.4183  1 U 2.21
F  0.1835  0.5335  0.0817  1 U 2.21
F  0.3165  0.0335  0.9183  1 U 2.21
F  0.8165  0.9665  0.5817  1 U 2.21
F  0.3165  0.5335  0.5817  1 U 2.21
F  0.8165  0.4665  0.9183  1 U 2.21
F  0.6835  0.9665  0.0817  1 U 2.21
F  0.1835  0.0335  0.4183  1 U 2.21
F  0.7036  0.4253  0.1055  1 U 2.20
F  0.2036  0.5747  0.3945  1 U 2.20
F  0.2964  0.0747  0.6055  1 U 2.20
F  0.7964  0.9253  0.8945  1 U 2.20
F  0.2964  0.5747  0.8945  1 U 2.20
F  0.7964  0.4253  0.6055  1 U 2.20
F  0.7036  0.9253  0.3945  1 U 2.20
F  0.2036  0.0747  0.1055  1 U 2.20
F  0.5452  0.4728  0.9139  1 U 2.19
F  0.0452  0.5272  0.5861  1 U 2.19
F  0.4548  0.0272  0.4139  1 U 2.19
F  0.9548  0.9728  0.0861  1 U 2.19
F  0.4548  0.5272  0.0861  1 U 2.19
F  0.9548  0.4728  0.4139  1 U 2.19
F  0.5452  0.9728  0.5861  1 U 2.19
F  0.0452  0.0272  0.9139  1 U 2.19
F  0.4251  0.3230  0.1750  1 O 1.49
F  0.9251  0.6770  0.3250  1 O 1.49
F  0.5749  0.1770  0.6750  1 O 1.49
F  0.0749  0.8230  0.8250  1 O 1.49
F  0.5749  0.6770  0.8250  1 O 1.49
F  0.0749  0.3230  0.6750  1 O 1.49
F  0.4251  0.8230  0.3250  1 O 1.49
F  0.9251  0.1770  0.1750  1 O 1.49

Summary:
Its final energy is -6.02 eV/atom. As for the volume: 1818 Å³ per cell.

=====

6.
The following is a DFT calculation (PBE) of a relaxed structure of Ba4NaB3O9.

Unit cell a=13.8897 b=13.8897 c=13.8897 alpha=109.47 beta=109.47 gamma=109.47
Closest atoms and distances in Å follow each position.
Sites, in units of the cell vectors:
Ba  0.7486  0.4986  0.2500  8 O 2.70-2.95
Ba  0.4986  0.7486  0.7500  8 O 2.70-2.95
Ba  0.7500  0.7514  0.0014  8 O 2.70-2.95
Ba  0.4986  0.2500  0.7486  8 O 2.70-2.95
Ba  0.2500  0.7486  0.4986  8 O 2.70-2.95
Ba  0.0014  0.7500  0.7514  8 O 2.70-2.95
Ba  0.7514  0.2500  0.0014  8 O 2.70-2.95
Ba  0.7486  0.7500  0.4986  8 O 2.70-2.95
Ba  0.7500  0.4986  0.7486  8 O 2.70-2.95
Ba  0.2500  0.0014  0.7514  8 O 2.70-2.95
Ba  0.0014  0.7514  0.2500  8 O 2.70-2.95
Ba  0.7514  0.0014  0.7500  8 O 2.70-2.95
Ba  0.2514  0.5014  0.7500  8 O 2.70-2.95
Ba  0.5014  0.2514  0.2500  8 O 2.70-2.95
Ba  0.2500  0.2486  0.9986  8 O 2.70-2.95
Ba  0.5014  0.7500  0.2514  8 O 2.70-2.95
Ba  0.7500  0.2514  0.5014  8 O 2.70-2.95
Ba  0.9986  0.2500  0.2486  8 O 2.70-2.95
Ba  0.2486  0.7500  0.9986  8 O 2.70-2.95
Ba  0.2514  0.2500  0.5014  8 O 2.70-2.95
Ba  0.2500  0.5014  0.2514  8 O 2.70-2.95
Ba  0.7500  0.9986  0.2486  8 O 2.70-2.95
Ba  0.9986  0.2486  0.7500  8 O 2.70-2.95
Ba  0.2486  0.9986  0.2500  8 O 2.70-2.95
Ba  0.5000  0.5000  0.5000  6 O 2.78
Ba  0.5000  0.5000  0.0000  6 O 2.78
Ba  0.5000  0.0000  0.5000  6 O 2.78
Ba  0.0000  0.5000  0.5000  6 O 2.78
Ba  0.5000  0.0000  0.0000  6 O 2.78
Ba  0.0000  0.0000  0.5000  6 O 2.78
Ba  0.0000  0.5000  0.0000  6 O 2.78
Ba  0.0000  0.0000  0.0000  6 O 2.78
Na  0.2500  0.2500  0.2500  6 O 2.38
Na  0.2500  0.5000  0.0000  6 O 2.38
Na  0.0000  0.2500  0.5000  6 O 2.38
Na  0.5000  0.0000  0.2500  6 O 2.38
Na  0.7500  0.7500  0.7500  6 O 2.38
Na  0.7500  0.5000  0.0000  6 O 2.38
Na  0.0000  0.7500  0.5000  6 O 2.38
Na  0.5000  0.0000  0.7500  6 O 2.38
B  0.7336  0.9836  0.9672  3 O 1.38-1.41
B  0.4836  0.2336  0.4672  3 O 1.38-1.41
B  0.2336  0.2664  0.7500  3 O 1.38-1.41
B  0.0164  0.4836  0.7500  3 O 1.38-1.41
B  0.7500  0.0164  0.4836  3 O 1.38-1.41
B  0.4672  0.4836  0.2336  3 O 1.38-1.41
B  0.2336  0.4672  0.4836  3 O 1.38-1.41
B  0.2664  0.7500  0.2336  3 O 1.38-1.41
B  0.0164  0.0328  0.2664  3 O 1.38-1.41
B  0.9672  0.7336  0.9836  3 O 1.38-1.41
B  0.5164  0.2500  0.9836  3 O 1.38-1.41
B  0.2500  0.7664  0.7336  3 O 1.38-1.41
B  0.9836  0.9672  0.7336  3 O 1.38-1.41
B  0.7336  0.2500  0.7664  3 O 1.38-1.41
B  0.7664  0.5328  0.5164  3 O 1.38-1.41
B  0.5328  0.5164  0.7664  3 O 1.38-1.41
B  0.2500  0.9836  0.5164  3 O 1.38-1.41
B  0.9836  0.5164  0.2500  3 O 1.38-1.41
B  0.7664  0.7336  0.2500  3 O 1.38-1.41
B  0.5164  0.7664  0.5328  3 O 1.38-1.41
B  0.2664  0.0164  0.0328  3 O 1.38-1.41
B  0.0328  0.2664  0.0164  3 O 1.38-1.41
B  0.4836  0.7500  0.0164  3 O 1.38-1.41
B  0.7500  0.2336  0.2664  3 O 1.38-1.41
O  0.7430  0.5976  0.5986  1 B 1.41
O  0.4111  0.4556  0.7056  1 B 1.38
O  0.7056  0.4111  0.4556  1 B 1.38
O  0.7944  0.2500  0.7056  1 B 1.38
O  0.0444  0.0889  0.7944  1 B 1.38
O  0.2500  0.7056  0.7944  1 B 1.38
O  0.4556  0.2500  0.0444  1 B 1.38
O  0.7944  0.0444  0.0889  1 B 1.38
O  0.4014  0.2570  0.4024  1 B 1.41
O  0.2570  0.3546  0.8556  1 B 1.41
O  0.9990  0.4014  0.6444  1 B 1.41
O  0.6444  0.9990  0.4014  1 B 1.41
O  0.4024  0.5010  0.1454  1 B 1.41
O  0.1454  0.4024  0.5010  1 B 1.41
O  0.3546  0.8556  0.2570  1 B 1.41
O  0.9990  0.0976  0.3546  1 B 1.41
O  0.6444  0.1454  0.2430  1 B 1.41
O  0.5010  0.8556  0.0986  1 B 1.41
O  0.0976  0.3546  0.9990  1 B 1.41
O  0.2430  0.6444  0.1454  1 B 1.41
O  0.8556  0.0986  0.5010  1 B 1.41
O  0.4024  0.4014  0.2570  1 B 1.41
O  0.2570  0.4024  0.4014  1 B 1.41
O  0.3546  0.9990  0.0976  1 B 1.41
O  0.2430  0.0986  0.0976  1 B 1.41
O  0.1454  0.2430  0.6444  1 B 1.41
O  0.0976  0.2430  0.0986  1 B 1.41
O  0.0986  0.5010  0.8556  1 B 1.41
O  0.0986  0.0976  0.2430  1 B 1.41
O  0.5010  0.1454  0.4024  1 B 1.41
O  0.8556  0.2570  0.3546  1 B 1.41
O  0.4014  0.6444  0.9990  1 B 1.41
O  0.5986  0.7430  0.5976  1 B 1.41
O  0.7430  0.6454  0.1444  1 B 1.41
O  0.0010  0.5986  0.3556  1 B 1.41
O  0.3556  0.0010  0.5986  1 B 1.41
O  0.5976  0.4990  0.8546  1 B 1.41
O  0.8546  0.5976  0.4990  1 B 1.41
O  0.6454  0.1444  0.7430  1 B 1.41
O  0.0010  0.9024  0.6454  1 B 1.41
O  0.3556  0.8546  0.7570  1 B 1.41
O  0.4990  0.1444  0.9014  1 B 1.41
O  0.9024  0.6454  0.0010  1 B 1.41
O  0.7570  0.3556  0.8546  1 B 1.41
O  0.1444  0.9014  0.4990  1 B 1.41
O  0.5976  0.5986  0.7430  1 B 1.41
O  0.0889  0.7944  0.0444  1 B 1.38
O  0.6454  0.0010  0.9024  1 B 1.41
O  0.7570  0.9014  0.9024  1 B 1.41
O  0.8546  0.7570  0.3556  1 B 1.41
O  0.9024  0.7570  0.9014  1 B 1.41
O  0.9014  0.4990  0.1444  1 B 1.41
O  0.2500  0.0444  0.4556  1 B 1.38
O  0.4990  0.8546  0.5976  1 B 1.41
O  0.1444  0.7430  0.6454  1 B 1.41
O  0.5986  0.3556  0.0010  1 B 1.41
O  0.5444  0.2944  0.5889  1 B 1.38
O  0.2944  0.2056  0.7500  1 B 1.38
O  0.9556  0.5444  0.7500  1 B 1.38
O  0.7500  0.9556  0.5444  1 B 1.38
O  0.5889  0.5444  0.2944  1 B 1.38
O  0.2944  0.5889  0.5444  1 B 1.38
O  0.2056  0.7500  0.2944  1 B 1.38
O  0.9556  0.9111  0.2056  1 B 1.38
O  0.7500  0.2944  0.2056  1 B 1.38
O  0.5444  0.7500  0.9556  1 B 1.38
O  0.9111  0.2056  0.9556  1 B 1.38
O  0.2056  0.9556  0.9111  1 B 1.38
O  0.4556  0.7056  0.4111  1 B 1.38
O  0.7056  0.7944  0.2500  1 B 1.38
O  0.0444  0.4556  0.2500  1 B 1.38
O  0.9014  0.9024  0.7570  1 B 1.41

Summary:
Its final energy is -7.02 eV/atom. As for the volume: 2063 Å³ per cell.